The following is a PBE+U calculation of Cr2O3 after structural relaxation, from Materials Project.

## Properties
- magnetic moment (Bohr magnetons per cell) = 96.00
- uncorrected energy (Ry/atom) = -0.5530

Structure (CIF):
```
data_Cr2O3
_symmetry_space_group_name_H-M 'P 1'
_symmetry_Int_Tables_number 1
_symmetry_space_group_name_Hall 'P 1'
_cell_length_a 9.5423
_cell_length_b 9.9575
_cell_length_c 10.1956
_cell_angle_alpha 93.03
_cell_angle_beta 93.54
_cell_angle_gamma 94.46
loop_
_atom_site_label
_atom_site_type_symbol
_atom_site_fract_x
_atom_site_fract_y
_atom_site_fract_z
_atom_site_occupancy
Cr1 Cr 0.0000 0.0000 0.0000 1
Cr2 Cr 0.0009 0.0447 0.3652 1
Cr3 Cr 0.0116 0.8882 0.6947 1
Cr4 Cr 0.0178 0.4163 0.4127 1
Cr5 Cr 0.0716 0.2327 0.6019 1
Cr6 Cr 0.0889 0.7463 0.2278 1
Cr7 Cr 0.0990 0.2986 0.9083 1
Cr8 Cr 0.0995 0.6688 0.9559 1
Cr9 Cr 0.1524 0.2278 0.1897 1
Cr10 Cr 0.2609 0.6906 0.4749 1
Cr11 Cr 0.2619 0.5009 0.7638 1
Cr12 Cr 0.2720 0.5239 0.2237 1
Cr13 Cr 0.3118 0.8178 0.7263 1
Cr14 Cr 0.3151 0.1107 0.7970 1
Cr15 Cr 0.3856 0.2378 0.3842 1
Cr16 Cr 0.4151 0.8646 0.3418 1
Cr17 Cr 0.4212 0.3039 0.0654 1
Cr18 Cr 0.5239 0.0257 0.5861 1
Cr19 Cr 0.5286 0.5135 0.3577 1
Cr20 Cr 0.5385 0.3410 0.7849 1
Cr21 Cr 0.5559 0.8785 0.0832 1
Cr22 Cr 0.5649 0.6749 0.6370 1
Cr23 Cr 0.6028 0.5149 0.0550 1
Cr24 Cr 0.6966 0.9798 0.7935 1
Cr25 Cr 0.7303 0.1252 0.1233 1
Cr26 Cr 0.7430 0.3119 0.5280 1
Cr27 Cr 0.7589 0.6605 0.8647 1
Cr28 Cr 0.7869 0.8573 0.4552 1
Cr29 Cr 0.7880 0.7085 0.2118 1
Cr30 Cr 0.8422 0.3736 0.8194 1
Cr31 Cr 0.8838 0.4431 0.1095 1
Cr32 Cr 0.9759 0.6066 0.6237 1
O1 O 0.0350 0.0302 0.5654 1
O2 O 0.0701 0.8555 0.0584 1
O3 O 0.0955 0.4853 0.8677 1
O4 O 0.1063 0.4553 0.6044 1
O5 O 0.1167 0.5885 0.3506 1
O6 O 0.1392 0.1329 0.0038 1
O7 O 0.1399 0.7474 0.6184 1
O8 O 0.1687 0.2033 0.3869 1
O9 O 0.1947 0.9511 0.7952 1
O10 O 0.2162 0.6601 0.1151 1
O11 O 0.2182 0.8427 0.3666 1
O12 O 0.2238 0.3660 0.0781 1
O13 O 0.2369 0.2771 0.7473 1
O14 O 0.2699 0.6871 0.8491 1
O15 O 0.3420 0.4211 0.3769 1
O16 O 0.3548 0.1864 0.2009 1
O17 O 0.3866 0.5858 0.6293 1
O18 O 0.3939 0.6613 0.3385 1
O19 O 0.3971 0.8777 0.1587 1
O20 O 0.4378 0.8232 0.5513 1
O21 O 0.4420 0.0548 0.4282 1
O22 O 0.4519 0.1956 0.9082 1
O23 O 0.4517 0.4550 0.9168 1
O24 O 0.4610 0.4792 0.1753 1
O25 O 0.4655 0.9829 0.7529 1
O26 O 0.5819 0.3392 0.4206 1
O27 O 0.6170 0.2057 0.6516 1
O28 O 0.6404 0.2754 0.1054 1
O29 O 0.6442 0.7893 0.7844 1
O30 O 0.6526 0.0029 0.2257 1
O31 O 0.6614 0.7303 0.3589 1
O32 O 0.6618 0.7127 0.0483 1
O33 O 0.6709 0.5290 0.7179 1
O34 O 0.6738 0.0024 0.9799 1
O35 O 0.6989 0.9688 0.5874 1
O36 O 0.7357 0.5213 0.2129 1
O37 O 0.7641 0.4926 0.9512 1
O38 O 0.8555 0.4856 0.5007 1
O39 O 0.8646 0.7669 0.5919 1
O40 O 0.8985 0.9757 0.8359 1
O41 O 0.9115 0.2415 0.4653 1
O42 O 0.9192 0.3000 0.9844 1
O43 O 0.9225 0.0751 0.1542 1
O44 O 0.9218 0.8429 0.3159 1
O45 O 0.9463 0.6369 0.1045 1
O46 O 0.9534 0.6959 0.8053 1
O47 O 0.9640 0.2426 0.7495 1
O48 O 0.9950 0.3531 0.2338 1
```